(1)
Here is a relaxed La6P17Pd6 crystal from Materials Project. Energies are from PBE.

Results
Energy of formation: -923 meV/atom
Symmetry: I-43m, No. 217
Energy: -6.189 eV/atom

a b c (Å): 9.0781 9.0781 9.0781
angles (deg): 109.47 109.47 109.47
Last column: nearest neighbours and their distance in Å.
Atoms (fractional coordinates):
La1 0.0000 0.2858 0.2858  7 P 3.00-3.29
La2 0.0000 0.7142 0.7142  7 P 3.00-3.29
La3 0.2858 0.0000 0.2858  7 P 3.00-3.29
La4 0.2858 0.2858 0.0000  7 P 3.00-3.29
La5 0.7142 0.0000 0.7142  7 P 3.00-3.29
La6 0.7142 0.7142 0.0000  7 P 3.00-3.29
P1 0.0000 0.0000 0.0000  6 La 3.00
P2 0.0000 0.0000 0.5674  3 P 2.22
P3 0.0000 0.3624 0.7820  1 P 2.22, 2 Pd 2.36
P4 0.0000 0.5674 0.0000  3 P 2.22
P5 0.0000 0.7820 0.3624  1 P 2.22, 2 Pd 2.36
P6 0.2180 0.2180 0.5804  1 P 2.22, 2 Pd 2.36
P7 0.2180 0.5804 0.2180  1 P 2.22, 2 Pd 2.36
P8 0.3624 0.0000 0.7820  1 P 2.22, 2 Pd 2.36
P9 0.3624 0.7820 0.0000  1 P 2.22, 2 Pd 2.36
P10 0.4196 0.6376 0.6376  1 P 2.22, 2 Pd 2.36
P11 0.4326 0.4326 0.4326  3 P 2.22
P12 0.5674 0.0000 0.0000  3 P 2.22
P13 0.5804 0.2180 0.2180  1 P 2.22, 2 Pd 2.36
P14 0.6376 0.4196 0.6376  1 P 2.22, 2 Pd 2.36
P15 0.6376 0.6376 0.4196  1 P 2.22, 2 Pd 2.36
P16 0.7820 0.0000 0.3624  1 P 2.22, 2 Pd 2.36
P17 0.7820 0.3624 0.0000  1 P 2.22, 2 Pd 2.36
Pd1 0.2500 0.5000 0.7500  4 P 2.36
Pd2 0.2500 0.7500 0.5000  4 P 2.36
Pd3 0.5000 0.2500 0.7500  4 P 2.36
Pd4 0.5000 0.7500 0.2500  4 P 2.36
Pd5 0.7500 0.2500 0.5000  4 P 2.36
Pd6 0.7500 0.5000 0.2500  4 P 2.36


(2)
Here is a relaxed La3P6Pd20 crystal from Materials Project. Energies are from PBE.

Results
Energy of formation: -706 meV/atom
Symmetry: Fm-3m, No. 225
Energy: -5.909 eV/atom

a b c (Å): 8.7935 8.7935 8.7935
angles (deg): 60.00 60.00 60.00
Last column: nearest neighbours and their distance in Å.
Atoms (fractional coordinates):
La1 0.0000 0.0000 0.0000  12 Pd 3.05, 6 P 3.27
La2 0.2500 0.2500 0.2500  4 Pd 2.93
La3 0.7500 0.7500 0.7500  4 Pd 2.93
P1 0.2632 0.2632 0.7368  8 Pd 2.43-2.52
P2 0.2632 0.7368 0.2632  8 Pd 2.43-2.52
P3 0.2632 0.7368 0.7368  8 Pd 2.43-2.52
P4 0.7368 0.2632 0.2632  8 Pd 2.43-2.52
P5 0.7368 0.2632 0.7368  8 Pd 2.43-2.52
P6 0.7368 0.7368 0.2632  8 Pd 2.43-2.52
Pd1 0.0000 0.0000 0.3466  2 P 2.43, 1 Pd 2.70
Pd2 0.0000 0.0000 0.6534  2 P 2.43, 1 Pd 2.70
Pd3 0.0000 0.3466 0.0000  2 P 2.43, 1 Pd 2.70
Pd4 0.0000 0.3466 0.6534  2 P 2.43, 1 Pd 2.70
Pd5 0.0000 0.6534 0.0000  2 P 2.43, 1 Pd 2.70
Pd6 0.0000 0.6534 0.3466  2 P 2.43, 1 Pd 2.70
Pd7 0.1580 0.6140 0.6140  3 P 2.52
Pd8 0.3466 0.0000 0.0000  2 P 2.43, 1 Pd 2.70
Pd9 0.3466 0.0000 0.6534  2 P 2.43, 1 Pd 2.70
Pd10 0.3466 0.6534 0.0000  2 P 2.43, 1 Pd 2.70
Pd11 0.3860 0.3860 0.3860  3 P 2.52
Pd12 0.3860 0.3860 0.8420  3 P 2.52
Pd13 0.3860 0.8420 0.3860  3 P 2.52
Pd14 0.6140 0.1580 0.6140  3 P 2.52
Pd15 0.6140 0.6140 0.1580  3 P 2.52
Pd16 0.6140 0.6140 0.6140  3 P 2.52
Pd17 0.6534 0.0000 0.0000  2 P 2.43, 1 Pd 2.70
Pd18 0.6534 0.0000 0.3466  2 P 2.43, 1 Pd 2.70
Pd19 0.6534 0.3466 0.0000  2 P 2.43, 1 Pd 2.70
Pd20 0.8420 0.3860 0.3860  3 P 2.52


(3)
Here is a relaxed LaP2Pd2 crystal from Materials Project. Energies are from PBE.

Results
Energy of formation: -1006 meV/atom
Symmetry: I4/mmm, No. 139
Energy: -6.230 eV/atom

a b c (Å): 5.8278 5.8278 5.8278
angles (deg): 137.57 137.57 61.57
Last column: nearest neighbours and their distance in Å.
Atoms (fractional coordinates):
La1 0.0000 0.0000 0.0000  8 P 3.19, 8 Pd 3.27
P1 0.3866 0.3866 0.0000  1 P 2.27, 4 Pd 2.51
P2 0.6134 0.6134 0.0000  1 P 2.27, 4 Pd 2.51
Pd1 0.2500 0.7500 0.5000  4 P 2.51
Pd2 0.7500 0.2500 0.5000  4 P 2.51


(4)
Here is a relaxed LaPPd crystal from Materials Project. Energies are from PBE.

Results
Energy of formation: -1309 meV/atom
Symmetry: P6_3/mmc, No. 194
Energy: -6.486 eV/atom

a b c (Å): 4.2965 4.2965 7.9753
angles (deg): 90.00 90.00 120.00
Last column: nearest neighbours and their distance in Å.
Atoms (fractional coordinates):
La1 0.0000 0.0000 0.0000  6 Pd 3.18, 6 P 3.18
La2 0.0000 0.0000 0.5000  6 Pd 3.18, 6 P 3.18
P1 0.3333 0.6667 0.2500  3 Pd 2.48
P2 0.6667 0.3333 0.7500  3 Pd 2.48
Pd1 0.3333 0.6667 0.7500  3 P 2.48
Pd2 0.6667 0.3333 0.2500  3 P 2.48


Number 2 is which compound?
La3P6Pd20


Which of these has the highest energy?
La3P6Pd20


Which of these has the lowest energy?
LaPPd